Entry 1:
36
Lattice="7.033 0.000 0.000 0.000 13.607 0.000 0.000 0.000 7.224" Properties=species:S:1:pos:R:3 comment="Gd2Nb3Ge4 (meta-GGA r2SCAN, relaxed)" sg=Pnma dft_energy_ev_per_atom=-24.834 pbc="T T T"
Gd 0.013 1.297 1.250
Gd 0.013 5.506 1.250
Gd 3.503 8.100 4.862
Gd 3.503 12.310 4.862
Gd 3.530 1.297 2.362
Gd 3.530 5.506 2.362
Gd 7.020 8.100 5.974
Gd 7.020 12.310 5.974
Nb 1.126 8.532 2.369
Nb 1.126 11.878 2.369
Nb 1.154 3.402 3.709
Nb 2.363 10.205 0.097
Nb 2.390 1.729 5.982
Nb 2.390 5.075 5.982
Nb 4.643 8.532 1.243
Nb 4.643 11.878 1.243
Nb 4.670 3.402 7.127
Nb 5.879 10.205 3.515
Nb 5.907 1.729 4.855
Nb 5.907 5.075 4.855
Ge 0.278 3.402 6.339
Ge 1.209 0.574 3.900
Ge 1.209 6.230 3.900
Ge 1.375 10.205 4.578
Ge 2.142 3.402 0.966
Ge 2.308 7.377 0.288
Ge 2.308 13.033 0.288
Ge 3.238 10.205 2.727
Ge 3.795 3.402 4.497
Ge 4.725 0.574 6.936
Ge 4.725 6.230 6.936
Ge 4.891 10.205 6.258
Ge 5.658 3.402 2.646
Ge 5.824 7.377 3.324
Ge 5.824 13.033 3.324
Ge 6.754 10.205 0.885



Entry 2:
5
Lattice="-2.027 2.027 4.897 2.027 -2.027 4.897 2.027 2.027 -4.897" Properties=species:S:1:pos:R:3 comment="GdNi2Ge2 (meta-GGA r2SCAN, relaxed)" sg=I4/mmm dft_energy_ev_per_atom=-19.717 pbc="T T T"
Gd 0.000 0.000 0.000
Ni 2.027 0.000 2.448
Ni 0.000 2.027 2.448
Ge 0.000 0.000 3.622
Ge 0.000 0.000 6.171



Entry 3:
32
Lattice="9.335 0.000 0.000 0.000 7.091 0.000 -1.763 0.000 6.608" Properties=species:S:1:pos:R:3 comment="Gd2GeO5 (meta-GGA r2SCAN, relaxed)" sg=P2_1/c dft_energy_ev_per_atom=-19.430 pbc="T T T"
Gd -0.171 0.901 1.530
Gd -1.053 2.644 4.834
Gd 3.348 0.961 0.293
Gd 2.467 2.585 3.597
Gd 5.105 4.506 3.011
Gd 4.223 6.130 6.315
Gd 8.624 4.447 1.775
Gd 7.742 6.190 5.079
Ge 2.777 4.192 0.154
Ge 1.895 6.445 3.458
Ge 5.676 0.647 3.150
Ge 4.794 2.899 6.454
O -0.727 4.503 6.562
O 0.154 6.134 3.258
O -0.613 0.830 6.166
O 0.268 2.716 2.862
O 2.081 0.580 2.162
O 1.199 2.966 5.466
O 2.776 4.983 3.257
O 1.894 5.654 6.561
O 2.379 0.428 4.753
O 3.260 3.117 1.449
O 4.311 3.974 5.160
O 5.193 6.663 1.855
O 5.677 1.438 0.047
O 4.796 2.108 3.351
O 6.372 4.125 1.142
O 5.491 6.511 4.446
O 7.303 4.376 3.746
O 8.185 6.261 0.442
O 7.417 0.958 3.350
O 8.299 2.588 0.046



Entry 4:
5
Lattice="-2.127 2.127 5.080 2.127 -2.127 5.080 2.127 2.127 -5.080" Properties=species:S:1:pos:R:3 comment="GdGe2Pd2 (meta-GGA r2SCAN, relaxed)" sg=I4/mmm dft_energy_ev_per_atom=-24.238 pbc="T T T"
Gd 0.000 0.000 0.000
Ge 0.000 0.000 3.862
Ge 0.000 0.000 6.298
Pd 2.127 0.000 2.540
Pd 0.000 2.127 2.540



Entry 5:
11
Lattice="7.153 0.000 0.000 -3.576 6.195 0.000 0.000 0.000 3.837" Properties=species:S:1:pos:R:3 comment="GdGe4Rh6 (meta-GGA r2SCAN, relaxed)" sg=P-6m2 dft_energy_ev_per_atom=-22.932 pbc="T T T"
Gd 0.000 0.000 0.000
Ge 0.000 4.130 0.000
Ge 2.120 1.224 1.918
Ge 5.033 1.224 1.918
Ge 3.576 3.747 1.918
Rh 0.000 2.470 1.918
Rh -1.438 4.960 1.918
Rh 3.576 0.411 0.000
Rh 2.144 2.892 0.000
Rh 1.438 4.960 1.918
Rh 5.008 2.892 0.000



Entry 6:
40
Lattice="9.024 0.000 0.000 0.000 9.024 0.000 0.000 0.000 9.024" Properties=species:S:1:pos:R:3 comment="Gd3Ge13Ru4 (meta-GGA r2SCAN, relaxed)" sg=Pm-3n dft_energy_ev_per_atom=-21.025 pbc="T T T"
Gd 0.000 2.256 4.512
Gd 0.000 6.768 4.512
Gd 2.256 4.512 0.000
Gd 4.512 0.000 2.256
Gd 4.512 0.000 6.768
Gd 6.768 4.512 0.000
Ge 0.000 0.000 0.000
Ge 0.000 2.676 1.319
Ge 0.000 2.676 7.705
Ge 0.000 6.348 1.319
Ge 0.000 6.348 7.705
Ge 1.319 0.000 2.676
Ge 1.319 0.000 6.348
Ge 1.836 4.512 3.193
Ge 1.836 4.512 5.831
Ge 2.676 1.319 0.000
Ge 2.676 7.705 0.000
Ge 3.193 1.836 4.512
Ge 3.193 7.188 4.512
Ge 4.512 3.193 1.836
Ge 4.512 3.193 7.188
Ge 4.512 4.512 4.512
Ge 4.512 5.831 1.836
Ge 4.512 5.831 7.188
Ge 5.831 1.836 4.512
Ge 5.831 7.188 4.512
Ge 6.348 1.319 0.000
Ge 6.348 7.705 0.000
Ge 7.188 4.512 3.193
Ge 7.188 4.512 5.831
Ge 7.705 0.000 2.676
Ge 7.705 0.000 6.348
Ru 2.256 2.256 2.256
Ru 2.256 2.256 6.768
Ru 2.256 6.768 2.256
Ru 2.256 6.768 6.768
Ru 6.768 2.256 2.256
Ru 6.768 2.256 6.768
Ru 6.768 6.768 2.256
Ru 6.768 6.768 6.768



Entry 7:
6
Lattice="2.132 -8.497 0.000 2.132 8.497 0.000 0.000 0.000 4.041" Properties=species:S:1:pos:R:3 comment="GdSnGe (meta-GGA r2SCAN, relaxed)" sg=Cmcm dft_energy_ev_per_atom=-27.990 pbc="T T T"
Gd 2.132 6.861 3.031
Gd 2.132 -6.861 1.010
Sn 2.132 4.107 1.010
Sn 2.132 -4.107 3.031
Ge 2.132 0.824 3.031
Ge 2.132 -0.824 1.010



Entry 8:
6
Lattice="4.048 0.000 0.000 0.000 4.048 0.000 0.000 0.000 7.853" Properties=species:S:1:pos:R:3 comment="GdTiGe (meta-GGA r2SCAN, relaxed)" sg=P4/nmm dft_energy_ev_per_atom=-24.184 pbc="T T T"
Gd 1.012 1.012 1.133
Gd 3.036 3.036 6.719
Ti 1.012 3.036 3.926
Ti 3.036 1.012 3.926
Ge 1.012 1.012 5.739
Ge 3.036 3.036 2.114



Entry 9:
8
Lattice="4.345 0.000 0.000 0.000 3.709 0.000 -1.957 0.000 5.758" Properties=species:S:1:pos:R:3 comment="GdHO2 (meta-GGA r2SCAN, relaxed)" sg=P2_1/m dft_energy_ev_per_atom=-17.495 pbc="T T T"
Gd 0.119 0.927 1.783
Gd 2.269 2.782 3.976
H 1.943 2.782 0.450
H 0.446 0.927 5.309
O 0.982 2.782 0.355
O 0.078 2.782 3.156
O 2.310 0.927 2.602
O 1.406 0.927 5.404



Entry 10:
14
Lattice="6.319 0.000 0.000 -3.160 5.473 0.000 0.000 0.000 3.609" Properties=species:S:1:pos:R:3 comment="GdH3O3 (meta-GGA r2SCAN, relaxed)" sg=P6_3/m dft_energy_ev_per_atom=-12.312 pbc="T T T"
Gd 0.000 3.648 0.902
Gd 3.160 1.824 2.707
H -1.857 4.712 2.707
H 0.007 1.508 2.707
H 1.310 0.748 0.902
H 1.850 4.725 2.707
H 3.152 3.965 0.902
H 5.017 0.760 0.902
O -0.715 2.150 2.707
O -0.940 5.017 2.707
O 1.505 1.695 0.902
O 1.655 3.778 2.707
O 4.099 0.456 0.902
O 3.875 3.322 0.902



Entry 11:
6
Lattice="3.706 0.000 0.000 0.000 3.706 0.000 0.000 0.000 5.248" Properties=species:S:1:pos:R:3 comment="GdYH4 (meta-GGA r2SCAN, relaxed)" sg=P4/mmm dft_energy_ev_per_atom=-13.691 pbc="T T T"
Gd 0.000 0.000 0.000
Y 1.853 1.853 2.624
H 0.000 1.853 1.334
H 0.000 1.853 3.914
H 1.853 0.000 1.334
H 1.853 0.000 3.914



Entry 12:
10
Lattice="0.000 4.073 4.073 4.073 0.000 4.073 4.073 4.073 0.000" Properties=species:S:1:pos:R:3 comment="KGdHf2O6 (meta-GGA r2SCAN, relaxed)" sg=Fm-3m dft_energy_ev_per_atom=-20.949 pbc="T T T"
K 0.000 0.000 0.000
Gd 4.073 4.073 4.073
Hf 2.037 2.037 2.037
Hf 6.110 6.110 6.110
O 2.037 2.037 0.000
O 2.037 0.000 2.037
O 4.073 2.037 2.037
O 0.000 2.037 2.037
O 2.037 4.073 2.037
O 2.037 2.037 4.073



Entry 13:
22
Lattice="0.000 5.256 5.256 5.256 0.000 5.256 5.256 5.256 0.000" Properties=species:S:1:pos:R:3 comment="Gd2Hf2O7 (meta-GGA r2SCAN, relaxed)" sg=Fd-3m dft_energy_ev_per_atom=-23.776 pbc="T T T"
Gd 0.000 0.000 0.000
Gd 2.628 2.628 0.000
Gd 2.628 0.000 2.628
Gd 0.000 2.628 2.628
Hf 5.256 2.628 2.628
Hf 2.628 5.256 2.628
Hf 2.628 2.628 5.256
Hf 5.256 5.256 5.256
O 1.314 1.314 1.314
O 3.942 3.942 1.730
O 3.942 1.730 3.942
O 6.154 3.942 3.942
O 6.570 6.570 4.358
O 6.570 4.358 6.570
O 8.782 6.570 6.570
O 1.730 3.942 3.942
O 3.942 6.154 3.942
O 3.942 3.942 6.154
O 4.358 6.570 6.570
O 6.570 8.782 6.570
O 6.570 6.570 8.782
O 9.198 9.198 9.198



Entry 14:
32
Lattice="11.520 0.000 0.000 0.000 7.812 0.000 0.000 0.000 7.283" Properties=species:S:1:pos:R:3 comment="Gd2HfS5 (meta-GGA r2SCAN, relaxed)" sg=Pnma dft_energy_ev_per_atom=-23.662 pbc="T T T"
Gd 2.044 0.015 0.205
Gd 2.044 3.891 0.205
Gd 3.716 3.921 3.847
Gd 3.716 7.797 3.847
Gd 7.805 0.015 3.436
Gd 7.805 3.891 3.436
Gd 9.476 3.921 7.078
Gd 9.476 7.797 7.078
Hf 0.072 5.859 4.178
Hf 5.688 1.953 0.537
Hf 5.833 5.859 6.746
Hf 11.448 1.953 3.105
S 0.047 5.859 6.883
S 1.032 0.277 4.828
S 1.032 3.629 4.828
S 2.102 5.859 2.463
S 2.379 1.953 2.306
S 3.381 5.859 5.947
S 3.658 1.953 6.104
S 4.728 4.183 1.187
S 4.728 7.535 1.187
S 5.713 1.953 3.242
S 5.807 5.859 4.041
S 6.792 0.277 6.096
S 6.792 3.629 6.096
S 7.863 5.859 1.179
S 8.140 1.953 1.336
S 9.141 5.859 4.977
S 9.418 1.953 4.820
S 10.488 4.183 2.455
S 10.488 7.535 2.455
S 11.473 1.953 0.400



Entry 15:
2
Lattice="3.734 0.000 0.000 0.000 3.734 0.000 0.000 0.000 3.734" Properties=species:S:1:pos:R:3 comment="GdHg (meta-GGA r2SCAN, relaxed)" sg=Pm-3m dft_energy_ev_per_atom=-46.918 pbc="T T T"
Gd 0.000 0.000 0.000
Hg 1.867 1.867 1.867



Entry 16:
14
Lattice="3.684 0.000 0.000 -1.842 6.857 0.000 -1.839 -1.444 8.608" Properties=species:S:1:pos:R:3 comment="Gd2HgO4 (meta-GGA r2SCAN, relaxed)" sg=P-1 dft_energy_ev_per_atom=-25.678 pbc="T T T"
Gd -0.921 2.853 2.584
Gd -0.918 0.135 8.268
Gd 0.921 5.277 0.340
Gd 0.925 2.560 6.024
Hg 0.921 -0.040 2.916
Hg -0.917 5.453 5.692
O -2.760 4.558 7.633
O -0.922 5.096 1.887
O -0.919 3.663 4.780
O -0.917 2.282 7.289
O 0.921 3.131 1.319
O 0.922 1.750 3.828
O 0.925 0.317 6.721
O 2.763 0.855 0.974



Entry 17:
4
Lattice="0.000 3.763 3.763 3.763 0.000 3.763 3.763 3.763 0.000" Properties=species:S:1:pos:R:3 comment="PmGdHg2 (meta-GGA r2SCAN, relaxed)" sg=Fm-3m dft_energy_ev_per_atom=-43.478 pbc="T T T"
Pm 0.000 0.000 0.000
Gd 3.763 3.763 3.763
Hg 1.881 1.881 1.881
Hg 5.644 5.644 5.644



Entry 18:
4
Lattice="-2.532 2.532 5.084 2.532 -2.532 5.084 2.532 2.532 -5.084" Properties=species:S:1:pos:R:3 comment="Gd3Ho (meta-GGA r2SCAN, relaxed)" sg=I4/mmm dft_energy_ev_per_atom=-40.665 pbc="T T T"
Gd 0.000 0.000 0.000
Gd 2.532 0.000 2.542
Gd 0.000 2.532 2.542
Ho 0.000 0.000 5.084



Entry 19:
4
Lattice="-2.505 2.505 5.044 2.505 -2.505 5.044 2.505 2.505 -5.044" Properties=species:S:1:pos:R:3 comment="GdHo3 (meta-GGA r2SCAN, relaxed)" sg=I4/mmm dft_energy_ev_per_atom=-35.445 pbc="T T T"
Gd 0.000 0.000 0.000
Ho 2.505 0.000 2.522
Ho 0.000 0.000 5.044
Ho 0.000 2.505 2.522